Entry 1:
An optimized crystal structure of KMgMnO2, computed with GGA+U.

Calculated values
Space group ... P1 (1)
E_tot ... -27.27 eV per formula unit

Unit cell a=3.233 b=3.332 c=9.061 alpha=87.56 beta=79.83 gamma=60.98
Sites, in units of the cell vectors:
K1 0.000 0.000 0.000
Mg1 0.031 0.353 0.590
Mn1 0.483 0.727 0.310
O1 0.217 0.366 0.202
O2 0.758 0.990 0.498

***

Entry 2:
An optimized crystal structure of LiCoPO4, computed with GGA+U.

Calculated values
E above lowest polymorph ... 0.4 kJ per mole of atoms
Space group ... P2_1/c (14)
E_tot ... -46.66 eV per formula unit

Unit cell a=5.066 b=10.196 c=8.454 alpha=90.00 beta=126.40 gamma=90.00
Sites, in units of the cell vectors:
Li1 0.205 0.155 0.007
Li2 0.205 0.345 0.507
Li3 0.795 0.655 0.493
Li4 0.795 0.845 0.993
Co1 0.295 0.656 0.991
Co2 0.295 0.844 0.491
Co3 0.705 0.156 0.509
Co4 0.705 0.344 0.009
P1 0.051 0.595 0.245
P2 0.051 0.905 0.745
P3 0.949 0.095 0.255
P4 0.949 0.405 0.755
O1 0.001 0.054 0.754
O2 0.001 0.446 0.254
O3 0.117 0.662 0.431
O4 0.117 0.838 0.931
O5 0.258 0.157 0.444
O6 0.258 0.343 0.944
O7 0.350 0.622 0.241
O8 0.350 0.878 0.741
O9 0.650 0.122 0.259
O10 0.650 0.378 0.759
O11 0.742 0.657 0.056
O12 0.742 0.843 0.556
O13 0.883 0.162 0.069
O14 0.883 0.338 0.569
O15 0.999 0.554 0.746
O16 0.999 0.946 0.246

***

Entry 3:
An optimized crystal structure of Na6W7O21, computed with GGA+U.

Calculated values
Space group ... R-3 (148)
E_tot ... -229.66 eV per formula unit

Unit cell a=8.846 b=8.846 c=8.846 alpha=113.57 beta=113.57 gamma=113.57
Sites, in units of the cell vectors:
Na1 0.071 0.643 0.786
Na2 0.214 0.929 0.357
Na3 0.357 0.214 0.929
Na4 0.643 0.786 0.071
Na5 0.786 0.071 0.643
Na6 0.929 0.357 0.214
W1 0.000 0.000 0.000
W2 0.145 0.286 0.571
W3 0.286 0.571 0.145
W4 0.429 0.855 0.714
W5 0.571 0.145 0.286
W6 0.714 0.429 0.855
W7 0.855 0.714 0.429
O1 0.000 0.000 0.500
O2 0.000 0.500 0.000
O3 0.067 0.139 0.283
O4 0.139 0.283 0.067
O5 0.142 0.785 0.571
O6 0.215 0.429 0.858
O7 0.283 0.067 0.139
O8 0.284 0.574 0.644
O9 0.356 0.716 0.426
O10 0.426 0.356 0.716
O11 0.429 0.858 0.215
O12 0.500 0.000 0.000
O13 0.571 0.142 0.785
O14 0.574 0.644 0.284
O15 0.644 0.284 0.574
O16 0.716 0.426 0.356
O17 0.717 0.933 0.861
O18 0.785 0.571 0.142
O19 0.858 0.215 0.429
O20 0.861 0.717 0.933
O21 0.933 0.861 0.717

***

Entry 4:
An optimized crystal structure of MgMn6O10F2, computed with GGA+U.

Calculated values
E above lowest polymorph ... 8.9 kJ per mole of atoms
Space group ... Pm (6)
E_tot ... -130.80 eV per formula unit

Unit cell a=5.073 b=8.762 c=5.167 alpha=90.00 beta=101.20 gamma=90.00
Sites, in units of the cell vectors:
Mg1 0.000 0.000 0.000
Mn1 0.496 0.000 0.919
Mn2 0.500 0.342 0.943
Mn3 0.500 0.658 0.943
Mn4 0.932 0.175 0.498
Mn5 0.932 0.825 0.498
Mn6 0.995 0.500 0.452
O1 0.142 0.000 0.666
O2 0.194 0.331 0.639
O3 0.194 0.669 0.639
O4 0.329 0.500 0.087
O5 0.667 0.500 0.795
O6 0.694 0.160 0.805
O7 0.694 0.840 0.805
O8 0.782 0.336 0.266
O9 0.782 0.664 0.266
O10 0.783 0.000 0.276
F1 0.298 0.157 0.104
F2 0.298 0.843 0.104

***

Entry 5:
An optimized crystal structure of Li2TiMn2O5, computed with GGA+U.

Calculated values
E above lowest polymorph ... 0.0 kJ per mole of atoms
Space group ... C2 (5)
E_tot ... -73.26 eV per formula unit

Unit cell a=7.977 b=7.977 c=5.441 alpha=97.66 beta=97.66 gamma=140.31
Sites, in units of the cell vectors:
Li1 0.000 0.000 0.000
Li2 0.305 0.695 0.500
Li3 0.600 0.400 0.000
Li4 0.903 0.097 0.500
Ti1 0.101 0.899 0.500
Ti2 0.406 0.594 0.000
Mn1 0.200 0.800 0.000
Mn2 0.498 0.502 0.500
Mn3 0.708 0.292 0.500
Mn4 0.803 0.197 0.000
O1 0.066 0.445 0.763
O2 0.185 0.382 0.215
O3 0.251 0.247 0.750
O4 0.320 0.118 0.282
O5 0.433 0.048 0.737
O6 0.555 0.934 0.237
O7 0.618 0.815 0.785
O8 0.753 0.749 0.250
O9 0.882 0.680 0.718
O10 0.952 0.567 0.263

***

Entry 6:
An optimized crystal structure of Fe7Si3H8O18, computed with GGA+U.

Calculated values
Space group ... P1 (1)
E_tot ... -232.58 eV per formula unit

Unit cell a=5.529 b=9.068 c=9.167 alpha=63.89 beta=73.03 gamma=72.95
Sites, in units of the cell vectors:
Fe1 0.000 0.000 0.000
Fe2 0.001 0.664 0.329
Fe3 0.489 0.172 0.830
Fe4 0.497 0.502 0.494
Fe5 0.502 0.834 0.162
Fe6 0.957 0.368 0.034
Fe7 0.997 0.337 0.664
Si1 0.455 0.539 0.854
Si2 0.480 0.858 0.523
Si3 0.978 0.021 0.368
H1 0.029 0.636 0.644
H2 0.467 0.871 0.850
H3 0.475 0.547 0.177
H4 0.496 0.181 0.540
H5 0.512 0.155 0.125
H6 0.943 0.355 0.370
H7 0.954 0.042 0.689
H8 0.987 0.697 0.027
O1 0.083 0.913 0.252
O2 0.090 0.572 0.574
O3 0.108 0.237 0.906
O4 0.152 0.539 0.943
O5 0.177 0.962 0.502
O6 0.408 0.600 0.257
O7 0.412 0.939 0.917
O8 0.413 0.253 0.602
O9 0.475 0.737 0.721
O10 0.564 0.413 0.753
O11 0.582 0.085 0.061
O12 0.586 0.751 0.408
O13 0.622 0.483 0.997
O14 0.678 0.988 0.476
O15 0.879 0.104 0.761
O16 0.897 0.430 0.429
O17 0.907 0.768 0.092
O18 0.959 0.221 0.262

***

Entry 7:
An optimized crystal structure of Mg4Fe5Te3O18, computed with GGA+U.

Calculated values
Space group ... C2 (5)
E_tot ... -181.30 eV per formula unit

Unit cell a=8.733 b=8.733 c=10.679 alpha=95.17 beta=95.17 gamma=63.24
Sites, in units of the cell vectors:
Mg1 0.020 0.020 0.276
Mg2 0.291 0.309 0.332
Mg3 0.413 0.007 0.174
Mg4 0.662 0.283 0.215
Mg5 0.691 0.709 0.668
Mg6 0.717 0.338 0.785
Mg7 0.980 0.980 0.724
Mg8 0.993 0.587 0.826
Fe1 0.049 0.669 0.479
Fe2 0.163 0.837 0.000
Fe3 0.210 0.128 0.800
Fe4 0.331 0.951 0.521
Fe5 0.353 0.363 0.976
Fe6 0.488 0.185 0.694
Fe7 0.521 0.479 0.500
Fe8 0.637 0.647 0.024
Fe9 0.815 0.512 0.306
Fe10 0.872 0.790 0.200
Te1 0.005 0.322 0.549
Te2 0.007 0.311 0.061
Te3 0.346 0.652 0.756
Te4 0.348 0.654 0.244
Te5 0.678 0.995 0.451
Te6 0.689 0.993 0.939
O1 0.069 0.430 0.417
O2 0.077 0.754 0.324
O3 0.095 0.749 0.825
O4 0.099 0.048 0.907
O5 0.102 0.104 0.444
O6 0.137 0.364 0.898
O7 0.241 0.222 0.629
O8 0.246 0.923 0.676
O9 0.247 0.252 0.153
O10 0.251 0.905 0.175
O11 0.263 0.588 0.065
O12 0.276 0.567 0.563
O13 0.412 0.737 0.935
O14 0.433 0.724 0.437
O15 0.435 0.411 0.817
O16 0.447 0.088 0.862
O17 0.453 0.059 0.362
O18 0.460 0.404 0.328
O19 0.566 0.226 0.057
O20 0.570 0.931 0.583
O21 0.589 0.565 0.183
O22 0.596 0.219 0.541
O23 0.596 0.540 0.672
O24 0.636 0.863 0.102
O25 0.737 0.098 0.790
O26 0.748 0.753 0.847
O27 0.767 0.053 0.311
O28 0.774 0.434 0.943
O29 0.778 0.759 0.371
O30 0.781 0.404 0.459
O31 0.896 0.898 0.556
O32 0.902 0.263 0.210
O33 0.912 0.553 0.138
O34 0.941 0.547 0.638
O35 0.947 0.233 0.689
O36 0.952 0.901 0.093

***

Entry 8:
An optimized crystal structure of MgCd2W2O8, computed with GGA+U.

Calculated values
E above lowest polymorph ... 7.0 kJ per mole of atoms
Space group ... P2 (3)
E_tot ... -79.54 eV per formula unit

Unit cell a=5.153 b=6.366 c=5.300 alpha=90.00 beta=93.19 gamma=90.00
Sites, in units of the cell vectors:
Mg1 0.000 0.000 0.000
Cd1 0.000 0.440 0.000
Cd2 0.500 0.717 0.000
W1 0.000 0.922 0.500
W2 0.500 0.241 0.500
O1 0.124 0.743 0.776
O2 0.194 0.167 0.714
O3 0.293 0.992 0.283
O4 0.363 0.438 0.254
O5 0.637 0.438 0.746
O6 0.707 0.992 0.717
O7 0.806 0.167 0.286
O8 0.876 0.743 0.224

***

Entry 9:
An optimized crystal structure of Fe2C2O7, computed with GGA+U.

Calculated values
E above lowest polymorph ... 0.9 kJ per mole of atoms
Space group ... P2_1/c (14)
E_tot ... -79.02 eV per formula unit

Unit cell a=8.055 b=7.740 c=11.561 alpha=90.00 beta=104.47 gamma=90.00
Sites, in units of the cell vectors:
Fe1 0.138 0.138 0.118
Fe2 0.138 0.362 0.618
Fe3 0.295 0.583 0.872
Fe4 0.295 0.917 0.372
Fe5 0.705 0.083 0.628
Fe6 0.705 0.417 0.128
Fe7 0.862 0.638 0.382
Fe8 0.862 0.862 0.882
C1 0.240 0.606 0.456
C2 0.240 0.894 0.956
C3 0.333 0.074 0.601
C4 0.333 0.426 0.101
C5 0.667 0.574 0.899
C6 0.667 0.926 0.399
C7 0.760 0.106 0.044
C8 0.760 0.394 0.544
O1 0.101 0.701 0.444
O2 0.101 0.799 0.944
O3 0.145 0.533 0.729
O4 0.145 0.967 0.229
O5 0.233 0.059 0.495
O6 0.233 0.441 0.995
O7 0.251 0.046 0.001
O8 0.251 0.454 0.501
O9 0.283 0.167 0.680
O10 0.283 0.333 0.180
O11 0.364 0.675 0.420
O12 0.364 0.825 0.920
O13 0.480 0.504 0.130
O14 0.480 0.996 0.630
O15 0.520 0.004 0.370
O16 0.520 0.496 0.870
O17 0.636 0.175 0.080
O18 0.636 0.325 0.580
O19 0.717 0.667 0.820
O20 0.717 0.833 0.320
O21 0.749 0.546 0.499
O22 0.749 0.954 0.999
O23 0.767 0.559 0.005
O24 0.767 0.941 0.505
O25 0.855 0.033 0.771
O26 0.855 0.467 0.271
O27 0.899 0.201 0.056
O28 0.899 0.299 0.556

***

Entry 10:
An optimized crystal structure of MgFe6O6F6, computed with GGA+U.

Calculated values
E above lowest polymorph ... 4.8 kJ per mole of atoms
Space group ... Pm (6)
E_tot ... -112.95 eV per formula unit

Unit cell a=5.146 b=3.041 c=14.603 alpha=90.00 beta=90.97 gamma=90.00
Sites, in units of the cell vectors:
Mg1 0.000 0.000 0.000
Fe1 0.274 0.000 0.655
Fe2 0.400 0.000 0.337
Fe3 0.524 0.000 0.012
Fe4 0.832 0.500 0.499
Fe5 0.838 0.500 0.807
Fe6 0.939 0.500 0.190
O1 0.032 0.000 0.755
O2 0.137 0.500 0.591
O3 0.213 0.500 0.284
O4 0.563 0.500 0.412
O5 0.742 0.000 0.892
O6 0.780 0.500 0.059
F1 0.023 0.000 0.442
F2 0.233 0.500 0.950
F3 0.234 0.000 0.107
F4 0.513 0.500 0.725
F5 0.654 0.000 0.574
F6 0.692 0.000 0.243

***

Entry 11:
An optimized crystal structure of Al3Tl4FeAs8O28, computed with GGA+U.

Calculated values
E above lowest polymorph ... 0.0 kJ per mole of atoms
Space group ... P1 (1)
E_tot ... -268.52 eV per formula unit

Unit cell a=6.408 b=6.485 c=16.410 alpha=100.69 beta=93.21 gamma=102.99
Sites, in units of the cell vectors:
Al1 0.000 0.000 0.000
Al2 0.021 0.640 0.270
Al3 0.499 0.499 0.498
Tl1 0.010 0.319 0.635
Tl2 0.260 0.569 0.885
Tl3 0.510 0.819 0.135
Tl4 0.761 0.070 0.384
Fe1 0.521 0.142 0.771
As1 0.031 0.634 0.477
As2 0.082 0.144 0.217
As3 0.439 0.995 0.550
As4 0.489 0.505 0.292
As5 0.532 0.136 0.981
As6 0.582 0.645 0.715
As7 0.940 0.497 0.053
As8 0.989 0.003 0.792
O1 0.033 0.918 0.882
O2 0.047 0.303 0.997
O3 0.061 0.588 0.152
O4 0.066 0.945 0.272
O5 0.158 0.876 0.555
O6 0.190 0.455 0.477
O7 0.206 0.107 0.744
O8 0.305 0.028 0.023
O9 0.330 0.685 0.292
O10 0.363 0.264 0.214
O11 0.453 0.194 0.495
O12 0.461 0.553 0.616
O13 0.467 0.828 0.773
O14 0.484 0.227 0.894
O15 0.532 0.421 0.381
O16 0.546 0.801 0.494
O17 0.569 0.086 0.647
O18 0.572 0.455 0.773
O19 0.659 0.377 0.058
O20 0.691 0.956 0.978
O21 0.715 0.609 0.248
O22 0.806 0.531 0.521
O23 0.841 0.192 0.796
O24 0.863 0.766 0.713
O25 0.955 0.695 0.998
O26 0.960 0.053 0.118
O27 0.974 0.337 0.273
O28 0.990 0.719 0.388

***

Entry 12:
An optimized crystal structure of DyYMn2O6, computed with GGA+U.

Calculated values
Space group ... P3 (143)
E_tot ... -82.11 eV per formula unit

Unit cell a=6.229 b=6.229 c=11.572 alpha=90.00 beta=90.00 gamma=120.00
Sites, in units of the cell vectors:
Dy1 0.000 0.000 0.000
Dy2 0.000 0.000 0.500
Dy3 0.667 0.333 0.457
Y1 0.333 0.667 0.458
Y2 0.333 0.667 0.957
Y3 0.667 0.333 0.957
Mn1 0.000 0.334 0.725
Mn2 0.000 0.666 0.226
Mn3 0.334 0.000 0.725
Mn4 0.334 0.334 0.226
Mn5 0.666 0.000 0.226
Mn6 0.666 0.666 0.725
O1 0.000 0.000 0.201
O2 0.000 0.000 0.701
O3 0.000 0.307 0.890
O4 0.000 0.641 0.061
O5 0.000 0.693 0.390
O6 0.307 0.000 0.890
O7 0.307 0.307 0.390
O8 0.333 0.667 0.245
O9 0.333 0.667 0.745
O10 0.359 0.001 0.561
O11 0.359 0.359 0.061
O12 0.641 0.000 0.061
O13 0.642 0.641 0.561
O14 0.667 0.333 0.246
O15 0.667 0.333 0.745
O16 0.693 0.000 0.390
O17 0.693 0.693 0.890
O18 0.999 0.358 0.561